A plane-wave DFT calculation with PBE-GGA was carried out for K2RbBiSe3 after structural relaxation.

Unit cell a=10.0922 b=10.0922 c=10.0922 alpha=90.00 beta=90.00 gamma=90.00
Element x y z (fractional)
K: 0.8135 0.8135 0.8135
K: 0.1807 0.6807 0.8193
K: 0.8193 0.1807 0.6807
K: 0.6807 0.8193 0.1807
K: 0.3193 0.3193 0.3193
K: 0.6865 0.1865 0.3135
K: 0.3135 0.6865 0.1865
K: 0.1865 0.3135 0.6865
Bi: 0.4681 0.9681 0.5319
Bi: 0.0319 0.0319 0.0319
Bi: 0.9681 0.5319 0.4681
Bi: 0.5319 0.4681 0.9681
Se: 0.6058 0.4972 0.2232
Se: 0.0028 0.7768 0.1058
Se: 0.2768 0.3942 0.9972
Se: 0.3942 0.9972 0.2768
Se: 0.8942 0.5028 0.7232
Se: 0.9972 0.2768 0.3942
Se: 0.4972 0.2232 0.6058
Se: 0.5028 0.7232 0.8942
Se: 0.7232 0.8942 0.5028
Se: 0.1058 0.0028 0.7768
Se: 0.7768 0.1058 0.0028
Se: 0.2232 0.6058 0.4972
Rb: 0.9282 0.4282 0.0718
Rb: 0.5718 0.5718 0.5718
Rb: 0.0718 0.9282 0.4282
Rb: 0.4282 0.0718 0.9282

Properties
**M_tot**: 0.00 μB/cell
**Uncorrected energy**: -3.47 eV per atom
**Formation enthalpy at 0 K**: -1.1605 eV per atom
**Total energy after the MP2020 corrections**: -3.67 eV/atom
**Space-group type**: No. 198